Record 1
The following is a PBE-GGA calculation of a relaxed NaCuCSO7 crystal, from the Materials Project.

Cell lengths 7.197, 5.032, 8.836 Å; angles 87.99, 90.00, 90.00 degrees
Sites, in units of the cell vectors:
O  0.079  0.803  0.340
O  0.415  0.776  0.334
O  0.232  0.428  0.464
O  0.249  0.049  0.847
O  0.757  0.526  0.187
O  0.751  0.699  0.945
O  0.579  0.197  0.660
O  0.749  0.951  0.153
O  0.732  0.572  0.536
O  0.251  0.301  0.055
O  0.758  0.139  0.426
O  0.257  0.474  0.813
O  0.915  0.224  0.666
O  0.258  0.861  0.574
Cu  0.736  0.778  0.349
Cu  0.236  0.222  0.651
S  0.748  0.273  0.577
S  0.248  0.727  0.423
C  0.753  0.724  0.084
C  0.253  0.276  0.916
Na  0.024  0.237  0.240
Na  0.524  0.763  0.760

- SG: P2_1
- Size of the total moment: 0.0 μB per cell

Record 2
The following is a PBE-GGA calculation of a relaxed Nb4CuC2S4 crystal, from the Materials Project.

Cell lengths 3.335, 3.335, 18.332 Å; angles 90.00, 90.00, 120.00 degrees
Sites, in units of the cell vectors:
C  0.000  0.000  0.000
C  0.000  0.000  0.500
Nb  0.333  0.667  0.061
Nb  0.333  0.667  0.564
Nb  0.667  0.333  0.935
Nb  0.667  0.333  0.436
S  0.667  0.333  0.157
S  0.333  0.667  0.847
S  0.667  0.333  0.653
S  0.333  0.667  0.346
Cu  0.333  0.667  0.227

- SG: P3m1
- Size of the total moment: 0.0 μB per cell

Record 3
The following is a PBE-GGA calculation of a relaxed Nb2CuCS2 crystal, from the Materials Project.

Cell lengths 3.371, 3.371, 9.074 Å; angles 90.00, 90.00, 120.00 degrees
Sites, in units of the cell vectors:
Nb  0.000  0.000  0.872
Nb  0.667  0.333  0.118
S  0.667  0.333  0.692
S  0.000  0.000  0.311
C  0.333  0.667  0.997
Cu  0.667  0.333  0.450

- SG: P3m1
- Size of the total moment: 0.0 μB per cell

Record 4
The following is a PBE-GGA calculation of a relaxed NdCuPbC3O11 crystal, from the Materials Project.

Cell lengths 6.434, 7.561, 19.095 Å; angles 90.00, 90.00, 90.00 degrees
Sites, in units of the cell vectors:
Nd  0.103  0.001  0.310
Nd  0.603  0.001  0.190
Nd  0.897  0.501  0.690
Nd  0.397  0.501  0.810
O  0.556  0.403  0.025
O  0.584  0.793  0.476
O  0.633  0.393  0.909
O  0.329  0.796  0.857
O  0.317  0.793  0.237
O  0.817  0.793  0.263
O  0.275  0.190  0.191
O  0.928  0.757  0.899
O  0.476  0.048  0.318
O  0.976  0.048  0.182
O  0.428  0.757  0.601
O  0.670  0.000  0.053
O  0.219  0.697  0.342
O  0.076  0.025  0.773
O  0.084  0.793  0.024
O  0.944  0.903  0.525
O  0.330  0.500  0.947
O  0.576  0.025  0.727
O  0.171  0.296  0.357
O  0.183  0.293  0.737
O  0.683  0.293  0.763
O  0.671  0.296  0.143
O  0.719  0.697  0.158
O  0.781  0.197  0.658
O  0.924  0.525  0.227
O  0.830  0.500  0.553
O  0.367  0.893  0.091
O  0.725  0.690  0.809
O  0.225  0.690  0.691
O  0.024  0.548  0.818
O  0.572  0.257  0.399
O  0.424  0.525  0.273
O  0.170  0.000  0.447
O  0.281  0.197  0.842
O  0.867  0.893  0.409
O  0.829  0.796  0.643
O  0.524  0.548  0.682
O  0.416  0.293  0.524
O  0.056  0.403  0.475
O  0.444  0.903  0.975
O  0.775  0.190  0.309
O  0.133  0.393  0.591
O  0.072  0.257  0.101
O  0.916  0.293  0.976
C  0.676  0.167  0.715
C  0.007  0.433  0.541
C  0.102  0.163  0.158
C  0.898  0.663  0.842
C  0.398  0.663  0.658
C  0.176  0.167  0.785
C  0.824  0.667  0.215
C  0.993  0.933  0.459
C  0.493  0.933  0.041
C  0.602  0.163  0.342
C  0.324  0.667  0.285
C  0.507  0.433  0.959
Pb  0.888  0.509  0.357
Pb  0.612  0.009  0.857
Pb  0.388  0.509  0.143
Pb  0.112  0.009  0.643
Cu  0.805  0.303  0.060
Cu  0.305  0.303  0.440
Cu  0.695  0.803  0.560
Cu  0.195  0.803  0.940

- SG: Pna2_1
- Size of the total moment: 8.0 μB per cell

Record 5
The following is a PBE-GGA calculation of a relaxed CuCO3 crystal, from the Materials Project.

Cell lengths 4.358, 4.873, 6.511 Å; angles 72.86, 72.74, 67.94 degrees
Sites, in units of the cell vectors:
Cu  0.551  0.723  0.235
Cu  0.449  0.277  0.765
O  0.755  0.876  0.805
O  0.951  0.814  0.257
O  0.245  0.124  0.195
O  0.049  0.186  0.743
O  0.678  0.299  0.293
O  0.322  0.701  0.707
C  0.050  0.914  0.753
C  0.950  0.086  0.247

- SG: P-1
- Size of the total moment: 1.2 μB per cell

Record 6
The following is a PBE-GGA calculation of a relaxed Cu3C2O8 crystal, from the Materials Project.

Cell lengths 5.626, 5.084, 10.606 Å; angles 85.15, 90.00, 90.00 degrees
Sites, in units of the cell vectors:
O  0.799  0.594  0.709
O  0.220  0.465  0.583
O  0.720  0.535  0.917
O  0.907  0.901  0.836
O  0.780  0.535  0.417
O  0.201  0.406  0.291
O  0.593  0.901  0.336
O  0.407  0.099  0.664
O  0.299  0.406  0.791
O  0.701  0.594  0.209
O  0.280  0.465  0.083
O  0.316  0.940  0.954
O  0.816  0.060  0.546
O  0.184  0.940  0.454
O  0.684  0.060  0.046
O  0.093  0.099  0.164
C  0.692  0.676  0.321
C  0.808  0.676  0.821
C  0.308  0.324  0.679
C  0.192  0.324  0.179
Cu  0.000  0.000  0.000
Cu  0.500  0.000  0.500
Cu  0.504  0.240  0.917
Cu  0.996  0.240  0.417
Cu  0.496  0.760  0.083
Cu  0.004  0.760  0.583

- SG: P2_1/c

Record 7
The following is a PBE-GGA calculation of a relaxed CuC2O4 crystal, from the Materials Project.

Cell lengths 3.514, 8.690, 7.792 Å; angles 90.00, 106.10, 90.00 degrees
Sites, in units of the cell vectors:
C  0.620  0.208  0.279
C  0.620  0.292  0.779
C  0.380  0.708  0.221
C  0.380  0.792  0.721
O  0.110  0.706  0.650
O  0.890  0.206  0.850
O  0.890  0.294  0.350
O  0.110  0.794  0.150
O  0.476  0.602  0.327
O  0.524  0.398  0.673
O  0.476  0.898  0.827
O  0.524  0.102  0.173
Cu  0.000  0.000  0.000
Cu  0.000  0.500  0.500

- SG: P2_1/c
- Size of the total moment: 1.8 μB per cell

Record 8
The following is a PBE-GGA calculation of a relaxed CuCO3 crystal, from the Materials Project.

Cell lengths 4.641, 4.641, 3.092 Å; angles 82.33, 82.33, 62.58 degrees
Sites, in units of the cell vectors:
O  0.172  0.707  0.022
O  0.153  0.153  0.613
O  0.707  0.172  0.022
C  0.021  0.021  0.889
Cu  0.437  0.437  0.538

- SG: Cm
- Size of the total moment: 1.0 μB per cell

| no. | formation energy (eV per atom) | calculated total energy (eV/atom) |
| --- | --- | --- |
| 1 | -1.680 | -6.0994 |
| 2 | -0.938 | -7.9835 |
| 3 | -0.845 | -7.6441 |
| 4 | -1.811 | -6.9363 |
| 5 | -1.354 | -6.5759 |
| 6 | -1.316 | -6.3037 |
| 7 | -0.964 | -6.6213 |
| 8 | -1.298 | -6.5206 |